# Ba2CaTeO6 (PBE, optimized geometry)
data_Ba2CaTeO6
_chemical_formula_sum 'Ba8 Ca4 Te4 O24'
_space_group_name_H-M_alt 'F m -3 m'
_space_group_IT_number 225
_space_group_name_Hall '-F 4 2 3'
_cell_length_a 8.5086
_cell_length_b 8.5086
_cell_length_c 8.5086
_cell_angle_alpha 90.00
_cell_angle_beta 90.00
_cell_angle_gamma 90.00
loop_
_atom_site_label
_atom_site_type_symbol
_atom_site_fract_x
_atom_site_fract_y
_atom_site_fract_z
_atom_site_occupancy
Ba1 Ba 0.2500 0.2500 0.2500 1
Ca1 Ca 0.0000 0.0000 0.0000 1
Te1 Te 0.0000 0.0000 0.5000 1
O1 O 0.0000 0.0000 0.2701 1
# DFT total energy, eV per atom: -6.24
# Energy relative to the elements, eV/atom: -2.79

=====

# ZnP4H16N2O16 (PBE, optimized geometry)
data_ZnP4H16N2O16
_chemical_formula_sum 'Zn1 P4 H16 N2 O16'
_space_group_name_H-M_alt 'P -1'
_space_group_IT_number 2
_cell_length_a 7.1477
_cell_length_b 7.4193
_cell_length_c 7.8386
_cell_angle_alpha 80.73
_cell_angle_beta 71.09
_cell_angle_gamma 89.75
loop_
_space_group_symop_operation_xyz
'x,y,z'
'-x,-y,-z'
loop_
_atom_site_label
_atom_site_type_symbol
_atom_site_fract_x
_atom_site_fract_y
_atom_site_fract_z
_atom_site_occupancy
Zn1 Zn 0.0000 0.0000 0.0000 1
P1 P 0.1652 0.2460 0.2574 1
P2 P 0.2460 0.7168 0.7416 1
H1 H 0.1201 0.2018 0.6525 1
H2 H 0.1221 0.3344 0.7942 1
H3 H 0.2423 0.4790 0.0227 1
H4 H 0.3238 0.8927 0.1759 1
H5 H 0.3561 0.6651 0.1892 1
H6 H 0.4263 0.7819 0.3286 1
H7 H 0.4338 0.2263 0.4227 1
H8 H 0.4454 0.1835 0.8998 1
N1 N 0.4157 0.7890 0.1983 1
O1 O 0.0585 0.2209 0.7808 1
O2 O 0.0712 0.7376 0.6507 1
O3 O 0.2024 0.1156 0.1191 1
O4 O 0.2321 0.5201 0.8408 1
O5 O 0.2371 0.1911 0.4188 1
O6 O 0.2399 0.8628 0.8568 1
O7 O 0.2542 0.4431 0.1554 1
O8 O 0.4291 0.7490 0.5599 1
# DFT total energy, eV per atom: -5.82
# Energy relative to the elements, eV/atom: -1.67

=====

# Pt2W (PBE, optimized geometry)
data_Pt2W
_chemical_formula_sum 'Pt4 W2'
_space_group_name_H-M_alt 'I m m m'
_space_group_IT_number 71
_space_group_name_Hall '-I 2 2'
_cell_length_a 2.8067
_cell_length_b 3.9685
_cell_length_c 8.3700
_cell_angle_alpha 90.00
_cell_angle_beta 90.00
_cell_angle_gamma 90.00
loop_
_atom_site_label
_atom_site_type_symbol
_atom_site_fract_x
_atom_site_fract_y
_atom_site_fract_z
_atom_site_occupancy
Pt1 Pt 0.0000 0.0000 0.1630 1
W1 W 0.0000 0.0000 0.5000 1
# DFT total energy, eV per atom: -8.70
# Energy relative to the elements, eV/atom: -0.34

=====

# Ho3Co8Sn4 (PBE, optimized geometry)
data_Ho3Co8Sn4
_chemical_formula_sum 'Ho6 Co16 Sn8'
_space_group_name_H-M_alt 'P 63 m c'
_space_group_IT_number 186
_space_group_name_Hall 'P 6c -2c'
_cell_length_a 8.8095
_cell_length_b 8.8095
_cell_length_c 7.5683
_cell_angle_alpha 90.00
_cell_angle_beta 90.00
_cell_angle_gamma 120.00
loop_
_atom_site_label
_atom_site_type_symbol
_atom_site_fract_x
_atom_site_fract_y
_atom_site_fract_z
_atom_site_occupancy
Ho1 Ho 0.0494 0.5247 0.0000 1
Co1 Co 0.0000 0.0000 0.2883 1
Co2 Co 0.0990 0.1980 0.0299 1
Co3 Co 0.1604 0.3208 0.3436 1
Co4 Co 0.3333 0.6667 0.6565 1
Sn1 Sn 0.1709 0.3419 0.7122 1
Sn2 Sn 0.3333 0.6667 0.3062 1
# DFT total energy, eV per atom: -6.08
# Energy relative to the elements, eV/atom: -0.30

=====

# Zn4P3C3N3O13 (PBE, optimized geometry)
data_Zn4P3C3N3O13
_chemical_formula_sum 'Zn8 P6 C6 N6 O26'
_space_group_name_H-M_alt 'P 1 21 1'
_space_group_IT_number 4
_cell_length_a 7.7395
_cell_length_b 15.4088
_cell_length_c 7.7485
_cell_angle_alpha 90.00
_cell_angle_beta 92.83
_cell_angle_gamma 90.00
loop_
_space_group_symop_operation_xyz
'x,y,z'
'-x,y+1/2,-z'
loop_
_atom_site_label
_atom_site_type_symbol
_atom_site_fract_x
_atom_site_fract_y
_atom_site_fract_z
_atom_site_occupancy
Zn1 Zn 0.0826 0.0000 0.2845 1
Zn2 Zn 0.1266 0.8570 0.6039 1
Zn3 Zn 0.1974 0.3348 0.6936 1
Zn4 Zn 0.1971 0.4949 0.4061 1
P1 P 0.0032 0.1690 0.5143 1
P2 P 0.0796 0.4105 0.0559 1
P3 P 0.4556 0.9328 0.4132 1
C1 C 0.2240 0.7095 0.0512 1
C2 C 0.3651 0.0458 0.8669 1
C3 C 0.4245 0.2218 0.2826 1
N1 N 0.0793 0.6879 0.0252 1
N2 N 0.4107 0.9778 0.9212 1
N3 N 0.4826 0.1951 0.4154 1
O1 O 0.0210 0.4909 0.9490 1
O2 O 0.0459 0.4214 0.5548 1
O3 O 0.0685 0.1215 0.3536 1
O4 O 0.0740 0.6026 0.3622 1
O5 O 0.0767 0.8776 0.8449 1
O6 O 0.1391 0.7338 0.5507 1
O7 O 0.1404 0.3382 0.9357 1
O8 O 0.1542 0.2175 0.6077 1
O9 O 0.2278 0.4356 0.1870 1
O10 O 0.3231 0.9645 0.2719 1
O11 O 0.3585 0.9021 0.5721 1
O12 O 0.4195 0.5068 0.5306 1
O13 O 0.4423 0.3553 0.6571 1
# DFT total energy, eV per atom: -6.03
# Energy relative to the elements, eV/atom: -1.06

=====

# Nd8Ga3Co (PBE, optimized geometry)
data_Nd8Ga3Co
_chemical_formula_sum 'Nd16 Ga6 Co2'
_space_group_name_H-M_alt 'P 63 m c'
_space_group_IT_number 186
_space_group_name_Hall 'P 6c -2c'
_cell_length_a 10.4510
_cell_length_b 10.4510
_cell_length_c 7.0141
_cell_angle_alpha 90.00
_cell_angle_beta 90.00
_cell_angle_gamma 120.00
loop_
_atom_site_label
_atom_site_type_symbol
_atom_site_fract_x
_atom_site_fract_y
_atom_site_fract_z
_atom_site_occupancy
Nd1 Nd 0.0000 0.0000 0.1053 1
Nd2 Nd 0.0737 0.5369 0.1171 1
Nd3 Nd 0.1714 0.3429 0.8224 1
Nd4 Nd 0.3333 0.6667 0.5000 1
Ga1 Ga 0.1643 0.3287 0.3623 1
Co1 Co 0.3333 0.6667 0.8831 1
# DFT total energy, eV per atom: -4.86
# Energy relative to the elements, eV/atom: -0.33

=====

# Al2O3 (PBE, optimized geometry)
data_Al2O3
_chemical_formula_sum 'Al40 O60'
_space_group_name_H-M_alt 'P 1'
_space_group_IT_number 1
_cell_length_a 10.1643
_cell_length_b 10.2389
_cell_length_c 10.7169
_cell_angle_alpha 91.09
_cell_angle_beta 91.48
_cell_angle_gamma 90.99
loop_
_space_group_symop_operation_xyz
'x,y,z'
loop_
_atom_site_label
_atom_site_type_symbol
_atom_site_fract_x
_atom_site_fract_y
_atom_site_fract_z
_atom_site_occupancy
Al1 Al 0.0000 0.0000 0.0000 1
Al2 Al 0.9998 0.0530 0.2956 1
Al3 Al 0.0267 0.8974 0.5378 1
Al4 Al 0.0426 0.6639 0.6984 1
Al5 Al 0.1032 0.8185 0.2156 1
Al6 Al 0.1249 0.2595 0.1438 1
Al7 Al 0.1266 0.4534 0.8926 1
Al8 Al 0.1321 0.9866 0.7820 1
Al9 Al 0.1614 0.5027 0.2959 1
Al10 Al 0.1920 0.2793 0.7097 1
Al11 Al 0.2264 0.6918 0.5157 1
Al12 Al 0.2796 0.4186 0.4834 1
Al13 Al 0.3071 0.2373 0.9508 1
Al14 Al 0.3082 0.1928 0.3899 1
Al15 Al 0.3100 0.8637 0.9410 1
Al16 Al 0.3176 0.9554 0.6242 1
Al17 Al 0.3514 0.0224 0.1471 1
Al18 Al 0.3505 0.5591 0.7348 1
Al19 Al 0.3528 0.7017 0.1789 1
Al20 Al 0.4461 0.9212 0.4070 1
Al21 Al 0.4811 0.4174 0.2561 1
Al22 Al 0.4940 0.6052 0.9812 1
Al23 Al 0.5345 0.1936 0.5863 1
Al24 Al 0.5458 0.4646 0.5349 1
Al25 Al 0.5547 0.0632 0.8956 1
Al26 Al 0.5933 0.6977 0.4018 1
Al27 Al 0.5977 0.3124 0.8210 1
Al28 Al 0.6304 0.7406 0.8077 1
Al29 Al 0.7121 0.8843 0.0222 1
Al30 Al 0.7139 0.2315 0.3498 1
Al31 Al 0.7362 0.4936 0.0230 1
Al32 Al 0.7458 0.9991 0.4620 1
Al33 Al 0.7906 0.6606 0.5672 1
Al34 Al 0.8100 0.2036 0.0075 1
Al35 Al 0.8133 0.7229 0.2320 1
Al36 Al 0.8538 0.9040 0.7597 1
Al37 Al 0.8665 0.4274 0.2266 1
Al38 Al 0.9066 0.2318 0.7524 1
Al39 Al 0.9424 0.3971 0.5147 1
Al40 Al 0.9515 0.6931 0.9766 1
O1 O 0.0188 0.8358 0.7371 1
O2 O 0.0186 0.9622 0.1566 1
O3 O 0.0378 0.4114 0.2015 1
O4 O 0.0450 0.3405 0.7861 1
O5 O 0.0539 0.9086 0.3719 1
O6 O 0.0568 0.7286 0.5286 1
O7 O 0.0784 0.6196 0.8759 1
O8 O 0.0919 0.4441 0.4456 1
O9 O 0.1303 0.1721 0.3005 1
O10 O 0.1460 0.9326 0.9417 1
O11 O 0.1485 0.0040 0.6132 1
O12 O 0.1859 0.6551 0.2169 1
O13 O 0.1920 0.3611 0.0154 1
O14 O 0.2142 0.6395 0.6755 1
O15 O 0.2272 0.1525 0.8146 1
O16 O 0.2270 0.2648 0.5517 1
O17 O 0.2637 0.1550 0.0906 1
O18 O 0.2668 0.8711 0.1615 1
O19 O 0.2796 0.4174 0.8041 1
O20 O 0.2812 0.5783 0.4097 1
O21 O 0.2997 0.3642 0.2959 1
O22 O 0.3123 0.9020 0.7776 1
O23 O 0.3321 0.8298 0.5093 1
O24 O 0.3517 0.7088 0.0019 1
O25 O 0.3905 0.0556 0.3071 1
O26 O 0.3906 0.4930 0.5959 1
O27 O 0.4164 0.0591 0.5391 1
O28 O 0.4389 0.9762 0.0039 1
O29 O 0.4490 0.2976 0.4676 1
O30 O 0.4497 0.5447 0.1392 1
O31 O 0.4632 0.7705 0.3015 1
O32 O 0.4797 0.2305 0.9336 1
O33 O 0.4810 0.6466 0.8038 1
O34 O 0.5524 0.5210 0.3746 1
O35 O 0.5621 0.1401 0.7443 1
O36 O 0.5904 0.2853 0.2477 1
O37 O 0.5903 0.4600 0.9325 1
O38 O 0.6019 0.3591 0.6576 1
O39 O 0.6126 0.8840 0.4535 1
O40 O 0.6193 0.6285 0.5647 1
O41 O 0.6329 0.7228 0.9787 1
O42 O 0.6518 0.9157 0.8339 1
O43 O 0.6633 0.1484 0.4855 1
O44 O 0.7015 0.0672 0.0117 1
O45 O 0.7291 0.8562 0.1817 1
O46 O 0.7651 0.5615 0.1817 1
O47 O 0.7745 0.2682 0.8549 1
O48 O 0.7774 0.7452 0.7174 1
O49 O 0.7838 0.7006 0.3980 1
O50 O 0.7932 0.3447 0.0953 1
O51 O 0.8290 0.3702 0.3774 1
O52 O 0.8330 0.0897 0.3356 1
O53 O 0.8456 0.5689 0.9310 1
O54 O 0.8613 0.9449 0.5766 1
O55 O 0.8813 0.8619 0.9465 1
O56 O 0.9116 0.2538 0.5941 1
O57 O 0.9128 0.5458 0.6147 1
O58 O 0.9500 0.0630 0.8091 1
O59 O 0.9654 0.7183 0.1453 1
O60 O 0.9799 0.1718 0.0455 1
# DFT total energy, eV per atom: -7.24
# Energy relative to the elements, eV/atom: -3.19

=====

# ErThRe4 (PBE, optimized geometry)
data_ErThRe4
_chemical_formula_sum 'Er2 Th2 Re8'
_space_group_name_H-M_alt 'P -3 m 1'
_space_group_IT_number 164
_space_group_name_Hall '-P 3 2"'
_cell_length_a 5.3935
_cell_length_b 5.3935
_cell_length_c 9.1581
_cell_angle_alpha 90.00
_cell_angle_beta 90.00
_cell_angle_gamma 120.00
loop_
_atom_site_label
_atom_site_type_symbol
_atom_site_fract_x
_atom_site_fract_y
_atom_site_fract_z
_atom_site_occupancy
Er1 Er 0.3333 0.6667 0.0620 1
Th1 Th 0.3333 0.6667 0.4393 1
Re1 Re 0.0000 0.0000 0.0000 1
Re2 Re 0.0000 0.0000 0.5000 1
Re3 Re 0.1702 0.3403 0.7593 1
# DFT total energy, eV per atom: -10.47
# Energy relative to the elements, eV/atom: -0.17